{"formula": "V3P6O20", "functional": "PBE+U", "state": "relaxed", "lattice": [[12.652, 0.000, 0.000], [0.000, 6.886, 5.074], [0.000, -6.886, 5.074]], "species": ["V", "V", "V", "V", "V", "V", "P", "P", "P", "P", "P", "P", "P", "P", "P", "P", "P", "P", "O", "O", "O", "O", "O", "O", "O", "O", "O", "O", "O", "O", "O", "O", "O", "O", "O", "O", "O", "O", "O", "O", "O", "O", "O", "O", "O", "O", "O", "O", "O", "O", "O", "O", "O", "O", "O", "O", "O", "O"], "frac_coords": [[0.000, 0.000, 0.000], [0.212, 0.417, 0.961], [0.288, 0.917, 0.461], [0.500, 0.500, 0.500], [0.712, 0.461, 0.917], [0.788, 0.961, 0.417], [0.051, 0.015, 0.386], [0.195, 0.280, 0.542], [0.218, 0.006, 0.861], [0.282, 0.506, 0.361], [0.305, 0.780, 0.042], [0.449, 0.515, 0.886], [0.551, 0.886, 0.515], [0.695, 0.042, 0.780], [0.718, 0.361, 0.506], [0.782, 0.861, 0.006], [0.805, 0.542, 0.280], [0.949, 0.386, 0.015], [0.057, 0.005, 0.203], [0.059, 0.443, 0.990], [0.080, 0.205, 0.484], [0.111, 0.915, 0.851], [0.133, 0.904, 0.427], [0.191, 0.355, 0.724], [0.200, 0.426, 0.461], [0.205, 0.183, 0.961], [0.221, 0.655, 0.971], [0.232, 0.478, 0.195], [0.268, 0.978, 0.695], [0.279, 0.155, 0.471], [0.295, 0.683, 0.461], [0.300, 0.926, 0.961], [0.309, 0.855, 0.224], [0.367, 0.404, 0.927], [0.389, 0.415, 0.351], [0.420, 0.705, 0.984], [0.441, 0.943, 0.490], [0.443, 0.505, 0.703], [0.557, 0.703, 0.505], [0.559, 0.490, 0.943], [0.580, 0.984, 0.705], [0.611, 0.351, 0.415], [0.633, 0.927, 0.404], [0.691, 0.224, 0.855], [0.700, 0.961, 0.926], [0.705, 0.461, 0.683], [0.721, 0.471, 0.155], [0.732, 0.695, 0.978], [0.768, 0.195, 0.478], [0.779, 0.971, 0.655], [0.795, 0.961, 0.183], [0.800, 0.461, 0.426], [0.809, 0.724, 0.355], [0.867, 0.427, 0.904], [0.889, 0.851, 0.915], [0.920, 0.484, 0.205], [0.941, 0.990, 0.443], [0.943, 0.203, 0.005]], "ef_mev_per_atom": -2626, "vol_a3_per_atom": 15.2, "e_above_lowest_polymorph_mev_per_atom": 5, "total_magnetization_mub_per_cell": 10.0}